VASP calculation (PBE with a Hubbard U) on a geometry-optimized Na2Fe3P3O12 structure.

Geometry as CIF:
```
data_Na2Fe3P3O12
_symmetry_space_group_name_H-M 'P 1'
_symmetry_Int_Tables_number 1
_symmetry_space_group_name_Hall 'P 1'
_cell_length_a 12.133
_cell_length_b 5.010
_cell_length_c 16.080
_cell_angle_alpha 90.00
_cell_angle_beta 99.24
_cell_angle_gamma 90.00
loop_
_atom_site_label
_atom_site_fract_x
_atom_site_fract_y
_atom_site_fract_z
_atom_site_occupancy
Na1 0.140 0.015 0.158 1
Na2 0.140 0.485 0.658 1
Na3 0.334 0.002 0.337 1
Na4 0.334 0.498 0.837 1
Na5 0.666 0.502 0.163 1
Na6 0.666 0.998 0.663 1
Na7 0.860 0.515 0.342 1
Na8 0.860 0.985 0.842 1
Fe1 0.060 0.518 0.845 1
Fe2 0.060 0.982 0.345 1
Fe3 0.275 0.004 0.991 1
Fe4 0.275 0.496 0.491 1
Fe5 0.397 0.516 0.177 1
Fe6 0.397 0.984 0.677 1
Fe7 0.603 0.016 0.323 1
Fe8 0.603 0.484 0.823 1
Fe9 0.725 0.504 0.509 1
Fe10 0.725 0.996 0.009 1
Fe11 0.940 0.018 0.655 1
Fe12 0.940 0.482 0.155 1
P1 0.158 0.566 0.046 1
P2 0.158 0.934 0.546 1
P3 0.180 0.057 0.788 1
P4 0.180 0.443 0.288 1
P5 0.487 0.554 0.385 1
P6 0.487 0.946 0.885 1
P7 0.513 0.054 0.115 1
P8 0.513 0.446 0.615 1
P9 0.820 0.557 0.712 1
P10 0.820 0.943 0.212 1
P11 0.842 0.066 0.454 1
P12 0.842 0.434 0.954 1
O1 0.062 0.630 0.094 1
O2 0.062 0.870 0.594 1
O3 0.066 0.195 0.751 1
O4 0.066 0.305 0.251 1
O5 0.143 0.709 0.958 1
O6 0.143 0.791 0.458 1
O7 0.172 0.749 0.288 1
O8 0.172 0.751 0.788 1
O9 0.174 0.238 0.540 1
O10 0.174 0.262 0.040 1
O11 0.208 0.179 0.879 1
O12 0.208 0.321 0.379 1
O13 0.267 0.716 0.090 1
O14 0.267 0.784 0.590 1
O15 0.268 0.158 0.735 1
O16 0.268 0.342 0.235 1
O17 0.390 0.649 0.432 1
O18 0.390 0.851 0.932 1
O19 0.399 0.180 0.073 1
O20 0.399 0.320 0.573 1
O21 0.466 0.696 0.296 1
O22 0.466 0.804 0.796 1
O23 0.490 0.249 0.879 1
O24 0.490 0.251 0.379 1
O25 0.510 0.749 0.621 1
O26 0.510 0.751 0.121 1
O27 0.534 0.196 0.204 1
O28 0.534 0.304 0.704 1
O29 0.601 0.680 0.427 1
O30 0.601 0.820 0.927 1
O31 0.610 0.149 0.068 1
O32 0.610 0.351 0.568 1
O33 0.732 0.658 0.765 1
O34 0.732 0.842 0.265 1
O35 0.733 0.216 0.410 1
O36 0.733 0.284 0.910 1
O37 0.792 0.679 0.621 1
O38 0.792 0.821 0.121 1
O39 0.826 0.738 0.960 1
O40 0.826 0.762 0.460 1
O41 0.828 0.249 0.212 1
O42 0.828 0.251 0.712 1
O43 0.857 0.209 0.542 1
O44 0.857 0.291 0.042 1
O45 0.934 0.695 0.749 1
O46 0.934 0.805 0.249 1
O47 0.938 0.130 0.406 1
O48 0.938 0.370 0.906 1
```

space-group type	No. 14
DFT formation energy	-230	kJ per mole of atoms
calculated total energy	-545.35	eV per cell
V	964.7	Å³/cell
energy above the lowest structure with this stoichiometry	0.007	eV per atom

VASP calculation (PBE with a Hubbard U) on a geometry-optimized Na3VSiBO7 structure.

Geometry as CIF:
```
data_Na3VSiBO7
_symmetry_space_group_name_H-M 'P 1'
_symmetry_Int_Tables_number 1
_symmetry_space_group_name_Hall 'P 1'
_cell_length_a 5.344
_cell_length_b 11.113
_cell_length_c 11.113
_cell_angle_alpha 106.80
_cell_angle_beta 91.31
_cell_angle_gamma 88.69
loop_
_atom_site_label
_atom_site_fract_x
_atom_site_fract_y
_atom_site_fract_z
_atom_site_occupancy
Na1 0.746 0.126 0.379 1
Na2 0.235 0.332 0.418 1
Na3 0.746 0.625 0.879 1
Na4 0.765 0.167 0.083 1
Na5 0.254 0.874 0.621 1
Na6 0.254 0.129 0.876 1
Na7 0.765 0.668 0.583 1
Na8 0.746 0.371 0.625 1
Na9 0.746 0.871 0.124 1
Na10 0.254 0.375 0.121 1
Na11 0.254 0.629 0.375 1
Na12 0.235 0.833 0.917 1
O1 0.106 0.586 0.164 1
O2 0.456 0.534 0.716 1
O3 0.319 0.665 0.585 1
O4 0.426 0.366 0.884 1
O5 0.210 0.615 0.938 1
O6 0.545 0.466 0.284 1
O7 0.894 0.414 0.836 1
O8 0.426 0.866 0.383 1
O9 0.574 0.634 0.116 1
O10 0.106 0.085 0.664 1
O11 0.970 0.439 0.311 1
O12 0.894 0.915 0.336 1
O13 0.969 0.939 0.811 1
O14 0.790 0.385 0.062 1
O15 0.544 0.966 0.784 1
O16 0.790 0.885 0.562 1
O17 0.319 0.165 0.085 1
O18 0.681 0.835 0.915 1
O19 0.574 0.134 0.617 1
O20 0.031 0.061 0.189 1
O21 0.790 0.688 0.365 1
O22 0.456 0.034 0.216 1
O23 0.210 0.115 0.438 1
O24 0.681 0.335 0.415 1
O25 0.030 0.561 0.689 1
O26 0.210 0.812 0.135 1
O27 0.210 0.312 0.635 1
O28 0.790 0.188 0.865 1
B1 0.267 0.592 0.658 1
B2 0.733 0.908 0.842 1
B3 0.733 0.408 0.342 1
B4 0.267 0.092 0.158 1
V1 0.789 0.544 0.206 1
V2 0.212 0.956 0.294 1
V3 0.211 0.456 0.794 1
V4 0.788 0.044 0.706 1
Si1 0.277 0.662 0.088 1
Si2 0.723 0.839 0.411 1
Si3 0.277 0.161 0.589 1
Si4 0.723 0.338 0.911 1
```

DFT formation energy	-253	kJ per mole of atoms
calculated total energy	-349.29	eV per cell
V	631.6	Å³/cell

VASP calculation (PBE with a Hubbard U) on a geometry-optimized LiMoPO5 structure.

Geometry as CIF:
```
data_LiMoPO5
_symmetry_space_group_name_H-M 'P 1'
_symmetry_Int_Tables_number 1
_symmetry_space_group_name_Hall 'P 1'
_cell_length_a 7.171
_cell_length_b 7.441
_cell_length_c 8.087
_cell_angle_alpha 89.90
_cell_angle_beta 87.91
_cell_angle_gamma 63.60
loop_
_atom_site_label
_atom_site_fract_x
_atom_site_fract_y
_atom_site_fract_z
_atom_site_occupancy
Li1 0.187 0.315 0.429 1
Li2 0.302 0.785 0.075 1
Li3 0.698 0.215 0.925 1
Li4 0.813 0.685 0.571 1
Mo1 0.252 0.500 0.756 1
Mo2 0.253 0.997 0.746 1
Mo3 0.747 0.003 0.254 1
Mo4 0.748 0.500 0.244 1
P1 0.228 0.739 0.403 1
P2 0.275 0.246 0.097 1
P3 0.725 0.754 0.903 1
P4 0.772 0.261 0.597 1
O1 0.072 0.398 0.185 1
O2 0.074 0.857 0.267 1
O3 0.139 0.620 0.512 1
O4 0.235 0.775 0.837 1
O5 0.243 0.083 0.998 1
O6 0.262 0.230 0.671 1
O7 0.272 0.887 0.511 1
O8 0.373 0.351 0.983 1
O9 0.420 0.147 0.245 1
O10 0.426 0.597 0.306 1
O11 0.574 0.403 0.694 1
O12 0.580 0.853 0.755 1
O13 0.627 0.649 0.017 1
O14 0.728 0.113 0.489 1
O15 0.738 0.770 0.329 1
O16 0.757 0.917 0.002 1
O17 0.765 0.225 0.163 1
O18 0.861 0.380 0.488 1
O19 0.926 0.143 0.733 1
O20 0.928 0.602 0.815 1
```

space-group type	No. 2
DFT formation energy	-238	kJ per mole of atoms
calculated total energy	-224.17	eV per cell
V	386.3	Å³/cell
energy above the lowest structure with this stoichiometry	0.000	eV per atom